# 1
# CsAlBr4

Crystalline CsAlBr4 at its relaxed geometry (r²SCAN, the Materials Project database).

a b c (Å): 12.2504 7.5738 10.0045
angles (deg): 90.00 90.00 90.00
Closest atoms and distances in Å follow each position.
Atoms (fractional coordinates):
Cs: 0.1812 0.2500 0.1690  10 Br 3.74-4.14
Cs: 0.3188 0.7500 0.6690  10 Br 3.74-4.14
Cs: 0.6812 0.2500 0.3310  10 Br 3.74-4.14
Cs: 0.8188 0.7500 0.8310  10 Br 3.74-4.14
Al: 0.0719 0.2500 0.6940  4 Br 2.30-2.31
Al: 0.4281 0.7500 0.1940  4 Br 2.30-2.31
Al: 0.5719 0.2500 0.8060  4 Br 2.30-2.31
Al: 0.9281 0.7500 0.3060  4 Br 2.30-2.31
Br: 0.0832 0.0047 0.8314  1 Al 2.31
Br: 0.0832 0.4953 0.8314  1 Al 2.31
Br: 0.0910 0.7500 0.4195  1 Al 2.30
Br: 0.2205 0.2500 0.5529  1 Al 2.30
Br: 0.2795 0.7500 0.0529  1 Al 2.30
Br: 0.4090 0.2500 0.9195  1 Al 2.30
Br: 0.4168 0.5047 0.3314  1 Al 2.31
Br: 0.4168 0.9953 0.3314  1 Al 2.31
Br: 0.5832 0.0047 0.6686  1 Al 2.31
Br: 0.5832 0.4953 0.6686  1 Al 2.31
Br: 0.5910 0.7500 0.0805  1 Al 2.30
Br: 0.7205 0.2500 0.9471  1 Al 2.30
Br: 0.7795 0.7500 0.4471  1 Al 2.30
Br: 0.9090 0.2500 0.5805  1 Al 2.30
Br: 0.9168 0.5047 0.1686  1 Al 2.31
Br: 0.9168 0.9953 0.1686  1 Al 2.31

Values from the calculation:
Symmetry ... No. 62
E ... -379.12 eV/cell
ΔE_f ... -1.651 eV per atom

# 2
# Mn2CrPb2O9

Crystalline Mn2CrPb2O9 at its relaxed geometry (r²SCAN, the Materials Project database).

a b c (Å): 5.0157 7.5588 10.3457
angles (deg): 91.70 99.06 109.33
Closest atoms and distances in Å follow each position.
Atoms (fractional coordinates):
Mn: 0.0985 0.1955 0.4986  6 O 1.85-1.96
Mn: 0.3038 0.6061 0.5067  6 O 1.83-1.98
Mn: 0.6962 0.3939 0.4933  6 O 1.83-1.98
Mn: 0.9015 0.8045 0.5014  6 O 1.85-1.96
Cr: 0.3109 0.2335 0.9520  4 O 1.63-1.67
Cr: 0.6891 0.7665 0.0480  4 O 1.63-1.67
Pb: 0.0085 0.3896 0.1794  8 O 2.56-2.86
Pb: 0.3956 0.9602 0.2581  3 O 2.33-2.36
Pb: 0.6044 0.0398 0.7419  3 O 2.33-2.36
Pb: 0.9915 0.6104 0.8206  8 O 2.56-2.86
O: 0.0482 0.3239 0.9325  1 Cr 1.66
O: 0.0550 0.4073 0.5965  3 Mn 1.91-1.97
O: 0.0781 0.9850 0.3958  2 Mn 1.85
O: 0.1929 0.0108 0.8941  1 Cr 1.65
O: 0.2415 0.7872 0.6098  2 Mn 1.85-1.93
O: 0.3288 0.3897 0.4021  3 Mn 1.92-1.98
O: 0.4482 0.2612 0.1122  1 Cr 1.67
O: 0.4483 0.6516 0.1319  1 Cr 1.63
O: 0.4682 0.2290 0.5900  2 Mn 1.83-1.88
O: 0.5318 0.7710 0.4100  2 Mn 1.83-1.88
O: 0.5517 0.3484 0.8681  1 Cr 1.63
O: 0.5518 0.7388 0.8878  1 Cr 1.67
O: 0.6712 0.6103 0.5979  3 Mn 1.92-1.98
O: 0.7585 0.2128 0.3902  2 Mn 1.85-1.93
O: 0.8071 0.9892 0.1059  1 Cr 1.65
O: 0.9219 0.0150 0.6042  2 Mn 1.85
O: 0.9450 0.5927 0.4035  3 Mn 1.91-1.97
O: 0.9518 0.6761 0.0675  1 Cr 1.66

Values from the calculation:
Symmetry ... No. 2
E ... -472.93 eV/cell
ΔE_f ... -1.836 eV per atom

# 3
# NpSb

Crystalline NpSb at its relaxed geometry (r²SCAN, the Materials Project database).

a b c (Å): 6.2772 6.2772 6.2772
angles (deg): 90.00 90.00 90.00
Closest atoms and distances in Å follow each position.
Atoms (fractional coordinates):
Np: 0.0000 0.0000 0.0000  6 Sb 3.14
Np: 0.0000 0.5000 0.5000  6 Sb 3.14
Np: 0.5000 0.0000 0.5000  6 Sb 3.14
Np: 0.5000 0.5000 0.0000  6 Sb 3.14
Sb: 0.0000 0.0000 0.5000  6 Np 3.14
Sb: 0.0000 0.5000 0.0000  6 Np 3.14
Sb: 0.5000 0.0000 0.0000  6 Np 3.14
Sb: 0.5000 0.5000 0.5000  6 Np 3.14

Values from the calculation:
Symmetry ... No. 225
E ... -441.48 eV/cell
ΔE_f ... -0.820 eV per atom
Offset from the most stable computed form ... 0.000 eV/atom

# 4
# Lu2CuPt

Crystalline Lu2CuPt at its relaxed geometry (r²SCAN, the Materials Project database).

a b c (Å): 6.7475 6.7475 6.7475
angles (deg): 90.00 90.00 90.00
Closest atoms and distances in Å follow each position.
Atoms (fractional coordinates):
Lu: 0.2500 0.2500 0.2500  4 Cu 2.92, 4 Pt 2.92
Lu: 0.2500 0.2500 0.7500  4 Cu 2.92, 4 Pt 2.92
Lu: 0.2500 0.7500 0.2500  4 Cu 2.92, 4 Pt 2.92
Lu: 0.2500 0.7500 0.7500  4 Cu 2.92, 4 Pt 2.92
Lu: 0.7500 0.2500 0.2500  4 Cu 2.92, 4 Pt 2.92
Lu: 0.7500 0.2500 0.7500  4 Cu 2.92, 4 Pt 2.92
Lu: 0.7500 0.7500 0.2500  4 Cu 2.92, 4 Pt 2.92
Lu: 0.7500 0.7500 0.7500  4 Cu 2.92, 4 Pt 2.92
Cu: 0.0000 0.0000 0.0000  8 Lu 2.92
Cu: 0.0000 0.5000 0.5000  8 Lu 2.92
Cu: 0.5000 0.0000 0.5000  8 Lu 2.92
Cu: 0.5000 0.5000 0.0000  8 Lu 2.92
Pt: 0.0000 0.0000 0.5000  8 Lu 2.92
Pt: 0.0000 0.5000 0.0000  8 Lu 2.92
Pt: 0.5000 0.0000 0.0000  8 Lu 2.92
Pt: 0.5000 0.5000 0.5000  8 Lu 2.92

Values from the calculation:
Symmetry ... No. 225
E ... -568.45 eV/cell
ΔE_f ... -0.904 eV per atom

# 5
# HCl

Crystalline HCl at its relaxed geometry (r²SCAN, the Materials Project database).

a b c (Å): 3.9483 3.9757 5.2000
angles (deg): 90.00 90.00 90.00
Closest atoms and distances in Å follow each position.
Atoms (fractional coordinates):
H: 0.0000 0.0000 0.0000  1 Cl 1.28
H: 0.5000 0.5000 0.5000  1 Cl 1.28
Cl: 0.0000 0.0000 0.7533  1 H 1.28
Cl: 0.5000 0.5000 0.2533  1 H 1.28

Values from the calculation:
Symmetry ... No. 44
E ... -21.23 eV/cell
ΔE_f ... -0.505 eV per atom

# 6
# Pr2Ga9Ru3

Crystalline Pr2Ga9Ru3 at its relaxed geometry (r²SCAN, the Materials Project database).

a b c (Å): 7.4746 7.4746 9.8660
angles (deg): 90.00 90.00 61.29
Closest atoms and distances in Å follow each position.
Atoms (fractional coordinates):
Pr: 0.0018 0.6748 0.7500  11 Ga 3.08-3.18
Pr: 0.3252 0.9982 0.7500  11 Ga 3.08-3.18
Pr: 0.6748 0.0018 0.2500  11 Ga 3.08-3.18
Pr: 0.9982 0.3252 0.2500  11 Ga 3.08-3.18
Ga: 0.0140 0.6613 0.0721  3 Ru 2.57-2.58, 3 Ga 2.74-2.79
Ga: 0.0140 0.6613 0.4279  3 Ru 2.57-2.58, 3 Ga 2.74-2.79
Ga: 0.1378 0.8622 0.2500  2 Ru 2.68, 6 Ga 2.70-2.74
Ga: 0.3392 0.4508 0.2500  2 Ru 2.66, 6 Ga 2.70-2.86
Ga: 0.3387 0.9860 0.0721  3 Ru 2.57-2.58, 3 Ga 2.74-2.79
Ga: 0.3387 0.9860 0.4279  3 Ru 2.57-2.58, 3 Ga 2.74-2.79
Ga: 0.3407 0.6593 0.5563  3 Ru 2.62-2.65, 5 Ga 2.67-2.86
Ga: 0.3407 0.6593 0.9437  3 Ru 2.62-2.65, 5 Ga 2.67-2.86
Ga: 0.4508 0.3392 0.7500  2 Ru 2.66, 6 Ga 2.70-2.86
Ga: 0.5492 0.6608 0.2500  2 Ru 2.66, 6 Ga 2.70-2.86
Ga: 0.6593 0.3407 0.0563  3 Ru 2.62-2.65, 5 Ga 2.67-2.86
Ga: 0.6593 0.3407 0.4437  3 Ru 2.62-2.65, 5 Ga 2.67-2.86
Ga: 0.6613 0.0140 0.5721  3 Ru 2.57-2.58, 3 Ga 2.74-2.79
Ga: 0.6613 0.0140 0.9279  3 Ru 2.57-2.58, 3 Ga 2.74-2.79
Ga: 0.6608 0.5492 0.7500  2 Ru 2.66, 6 Ga 2.70-2.86
Ga: 0.8622 0.1378 0.7500  2 Ru 2.68, 6 Ga 2.70-2.74
Ga: 0.9860 0.3387 0.5721  3 Ru 2.57-2.58, 3 Ga 2.74-2.79
Ga: 0.9860 0.3387 0.9279  3 Ru 2.57-2.58, 3 Ga 2.74-2.79
Ru: 0.0000 0.0000 0.0000  8 Ga 2.58-2.68
Ru: 0.0000 0.0000 0.5000  8 Ga 2.58-2.68
Ru: 0.3244 0.3244 0.0000  8 Ga 2.57-2.66
Ru: 0.3244 0.3244 0.5000  8 Ga 2.57-2.66
Ru: 0.6756 0.6756 0.0000  8 Ga 2.57-2.66
Ru: 0.6756 0.6756 0.5000  8 Ga 2.57-2.66

Values from the calculation:
Symmetry ... No. 63
E ... -492.13 eV/cell
ΔE_f ... -0.571 eV per atom

| no. | magnetic moment (μB per formula unit) |
| --- | --- |
| 1 | 0.00 |
| 2 | 6.00 |
| 3 | 3.97 |
| 4 | 0.00 |
| 5 | 0.00 |
| 6 | 0.00 |